Na15Mg4Nb8Si9P9O72 | PBE | relaxed

abc: 8.993 9.000 22.555
angles: 89.85 89.80 60.03
Space group P1 (No. 1)
Asymmetric unit:
Na  0.000  0.000  0.000 (multiplicity 1)
Na  0.001  0.387  0.499 (multiplicity 1)
Na  0.007  0.692  0.585 (multiplicity 1)
Na  0.029  0.677  0.085 (multiplicity 1)
Na  0.071  0.980  0.669 (multiplicity 1)
Na  0.073  0.333  0.170 (multiplicity 1)
Na  0.326  0.338  0.670 (multiplicity 1)
Na  0.327  0.726  0.170 (multiplicity 1)
Na  0.350  0.651  0.499 (multiplicity 1)
Na  0.371  0.997  0.750 (multiplicity 1)
Na  0.373  0.008  0.251 (multiplicity 1)
Na  0.674  0.037  0.844 (multiplicity 1)
Na  0.684  0.357  0.921 (multiplicity 1)
Na  0.695  0.338  0.420 (multiplicity 1)
Na  0.734  0.655  0.000 (multiplicity 1)
Mg  0.024  0.682  0.440 (multiplicity 1)
Mg  0.034  0.673  0.940 (multiplicity 1)
Mg  0.367  0.010  0.110 (multiplicity 1)
Mg  0.373  0.003  0.610 (multiplicity 1)
Nb  0.024  0.684  0.239 (multiplicity 1)
Nb  0.028  0.680  0.739 (multiplicity 1)
Nb  0.359  0.013  0.900 (multiplicity 1)
Nb  0.361  0.010  0.400 (multiplicity 1)
Nb  0.689  0.351  0.778 (multiplicity 1)
Nb  0.692  0.341  0.569 (multiplicity 1)
Nb  0.696  0.342  0.070 (multiplicity 1)
Nb  0.700  0.349  0.279 (multiplicity 1)
Si  0.029  0.968  0.843 (multiplicity 1)
Si  0.030  0.390  0.344 (multiplicity 1)
Si  0.314  0.394  0.842 (multiplicity 1)
Si  0.318  0.675  0.344 (multiplicity 1)
Si  0.402  0.641  0.673 (multiplicity 1)
Si  0.694  0.049  0.674 (multiplicity 1)
Si  0.695  0.641  0.173 (multiplicity 1)
Si  0.742  0.673  0.845 (multiplicity 1)
Si  0.986  0.051  0.173 (multiplicity 1)
P  0.073  0.010  0.509 (multiplicity 1)
P  0.075  0.304  0.010 (multiplicity 1)
P  0.359  0.722  0.009 (multiplicity 1)
P  0.362  0.299  0.509 (multiplicity 1)
P  0.408  0.343  0.175 (multiplicity 1)
P  0.650  0.012  0.008 (multiplicity 1)
P  0.654  0.725  0.508 (multiplicity 1)
P  0.739  0.970  0.342 (multiplicity 1)
P  0.981  0.349  0.672 (multiplicity 1)
O  0.006  0.860  0.179 (multiplicity 1)
O  0.038  0.487  0.004 (multiplicity 1)
O  0.050  0.855  0.501 (multiplicity 1)
O  0.055  0.482  0.283 (multiplicity 1)
O  0.061  0.846  0.783 (multiplicity 1)
O  0.158  0.190  0.667 (multiplicity 1)
O  0.165  0.183  0.955 (multiplicity 1)
O  0.166  0.039  0.454 (multiplicity 1)
O  0.171  0.038  0.169 (multiplicity 1)
O  0.171  0.219  0.066 (multiplicity 1)
O  0.176  0.990  0.565 (multiplicity 1)
O  0.196  0.707  0.283 (multiplicity 1)
O  0.201  0.475  0.780 (multiplicity 1)
O  0.201  0.704  0.001 (multiplicity 1)
O  0.201  0.987  0.849 (multiplicity 1)
O  0.205  0.196  0.348 (multiplicity 1)
O  0.208  0.482  0.503 (multiplicity 1)
O  0.218  0.641  0.678 (multiplicity 1)
O  0.230  0.515  0.179 (multiplicity 1)
O  0.238  0.508  0.898 (multiplicity 1)
O  0.242  0.648  0.403 (multiplicity 1)
O  0.338  0.219  0.565 (multiplicity 1)
O  0.338  0.826  0.065 (multiplicity 1)
O  0.342  0.848  0.348 (multiplicity 1)
O  0.343  0.195  0.848 (multiplicity 1)
O  0.368  0.832  0.670 (multiplicity 1)
O  0.378  0.193  0.168 (multiplicity 1)
O  0.388  0.184  0.453 (multiplicity 1)
O  0.391  0.814  0.954 (multiplicity 1)
O  0.497  0.374  0.119 (multiplicity 1)
O  0.500  0.512  0.614 (multiplicity 1)
O  0.510  0.509  0.330 (multiplicity 1)
O  0.514  0.352  0.831 (multiplicity 1)
O  0.518  0.324  0.229 (multiplicity 1)
O  0.519  0.047  0.670 (multiplicity 1)
O  0.524  0.821  0.169 (multiplicity 1)
O  0.526  0.534  0.729 (multiplicity 1)
O  0.531  0.317  0.512 (multiplicity 1)
O  0.532  0.541  0.012 (multiplicity 1)
O  0.536  0.810  0.452 (multiplicity 1)
O  0.544  0.037  0.950 (multiplicity 1)
O  0.550  0.852  0.848 (multiplicity 1)
O  0.559  0.985  0.347 (multiplicity 1)
O  0.561  0.988  0.061 (multiplicity 1)
O  0.567  0.826  0.563 (multiplicity 1)
O  0.667  0.538  0.511 (multiplicity 1)
O  0.668  0.180  0.012 (multiplicity 1)
O  0.673  0.534  0.229 (multiplicity 1)
O  0.678  0.169  0.731 (multiplicity 1)
O  0.712  0.151  0.330 (multiplicity 1)
O  0.713  0.512  0.831 (multiplicity 1)
O  0.727  0.510  0.114 (multiplicity 1)
O  0.728  0.151  0.617 (multiplicity 1)
O  0.827  0.853  0.285 (multiplicity 1)
O  0.834  0.858  0.003 (multiplicity 1)
O  0.835  0.710  0.786 (multiplicity 1)
O  0.837  0.691  0.502 (multiplicity 1)
O  0.843  0.648  0.904 (multiplicity 1)
O  0.849  0.892  0.396 (multiplicity 1)
O  0.863  0.146  0.114 (multiplicity 1)
O  0.864  0.158  0.829 (multiplicity 1)
O  0.867  0.357  0.331 (multiplicity 1)
O  0.869  0.374  0.615 (multiplicity 1)
O  0.875  0.866  0.678 (multiplicity 1)
O  0.878  0.639  0.179 (multiplicity 1)
O  0.880  0.177  0.228 (multiplicity 1)
O  0.889  0.312  0.011 (multiplicity 1)
O  0.890  0.324  0.726 (multiplicity 1)
O  0.893  0.185  0.511 (multiplicity 1)
O  0.980  0.900  0.900 (multiplicity 1)
O  0.996  0.496  0.403 (multiplicity 1)
O  0.997  0.512  0.678 (multiplicity 1)

Computed properties:
Raw total energy: -848.391 eV for the cell shown
Formation energy: -2.880 eV per atom
Total magnetic moment: 0.00 μB per formula unit